(1)
A plane-wave DFT calculation with GGA-PBE was carried out for an optimized crystal structure of TlRe3S4Cl2.

a = 6.4364 Å, b = 9.1985 Å, c = 17.1891 Å
α = 95.95°, β = 92.66°, γ = 96.05°
Closest atoms and distances in Å follow each position.
Atoms (fractional coordinates):
Tl 0.0341 0.4910 0.3444  3 Cl 3.07-3.28
Tl 0.4586 0.0116 0.1679  4 Cl 3.17-3.54, 2 S 3.47-3.52
Tl 0.5414 0.9884 0.8321  4 Cl 3.17-3.54, 2 S 3.47-3.52
Tl 0.9659 0.5090 0.6556  3 Cl 3.07-3.28
Re 0.0403 0.3164 0.9494  4 S 2.41-2.43, 1 Cl 2.41, 4 Re 2.62-2.65
Re 0.0774 0.5904 0.9120  4 S 2.40-2.43, 1 Cl 2.43, 4 Re 2.62-2.65
Re 0.2238 0.9270 0.5041  5 S 2.41-2.52, 4 Re 2.62
Re 0.2751 0.5250 0.0384  5 S 2.41-2.51, 4 Re 2.62-2.63
Re 0.4295 0.1023 0.4162  4 S 2.41-2.43, 1 Cl 2.42, 4 Re 2.62-2.66
Re 0.4593 0.1606 0.5712  4 S 2.40-2.44, 1 Cl 2.41, 4 Re 2.62-2.66
Re 0.5407 0.8394 0.4288  4 S 2.40-2.44, 1 Cl 2.41, 4 Re 2.62-2.66
Re 0.5705 0.8977 0.5838  4 S 2.41-2.43, 1 Cl 2.42, 4 Re 2.62-2.66
Re 0.7249 0.4750 0.9616  5 S 2.41-2.51, 4 Re 2.62-2.63
Re 0.7762 0.0730 0.4959  5 S 2.41-2.52, 4 Re 2.62
Re 0.9226 0.4096 0.0880  4 S 2.40-2.43, 1 Cl 2.43, 4 Re 2.62-2.65
Re 0.9596 0.6836 0.0506  4 S 2.41-2.43, 1 Cl 2.41, 4 Re 2.62-2.65
S 0.1470 0.1869 0.4913  4 Re 2.43-2.52
S 0.1483 0.6092 0.1630  3 Re 2.41-2.43
S 0.2164 0.8777 0.3630  3 Re 2.40-2.42
S 0.2204 0.2749 0.0702  3 Re 2.40-2.42
S 0.2710 0.9849 0.6449  3 Re 2.41-2.42
S 0.2892 0.7729 0.0021  3 Re 2.41-2.42
S 0.3440 0.6908 0.5160  3 Re 2.41-2.44
S 0.3574 0.4341 0.9019  4 Re 2.42-2.51
S 0.6426 0.5659 0.0981  4 Re 2.42-2.51
S 0.6560 0.3092 0.4840  3 Re 2.41-2.44
S 0.7108 0.2271 0.9979  3 Re 2.41-2.42
S 0.7290 0.0151 0.3551  3 Re 2.41-2.42
S 0.7796 0.7251 0.9298  3 Re 2.40-2.42
S 0.7836 0.1223 0.6370  3 Re 2.40-2.42
S 0.8517 0.3908 0.8370  3 Re 2.41-2.43
S 0.8530 0.8131 0.5087  4 Re 2.43-2.52
Cl 0.0824 0.0787 0.8819  1 Re 2.41
Cl 0.1806 0.7078 0.7972  1 Re 2.43
Cl 0.3341 0.2335 0.3071  1 Re 2.42
Cl 0.4120 0.3679 0.6644  1 Re 2.41
Cl 0.5880 0.6321 0.3356  1 Re 2.41
Cl 0.6659 0.7665 0.6929  1 Re 2.42
Cl 0.8194 0.2922 0.2028  1 Re 2.43
Cl 0.9176 0.9213 0.1181  1 Re 2.41

Properties
- Total magnetic moment: 0.00 Bohr magnetons per cell
- Energy: -6.70 eV/atom
- Space-group type: P-1, No. 2

***

(2)
A plane-wave DFT calculation with GGA-PBE was carried out for an optimized crystal structure of GdTlTe2.

a = 8.5670 Å, b = 8.5670 Å, c = 8.5670 Å
α = 30.57°, β = 30.57°, γ = 30.57°
Closest atoms and distances in Å follow each position.
Atoms (fractional coordinates):
Gd 0.0000 0.0000 0.0000  6 Te 3.13
Tl 0.5000 0.5000 0.5000  6 Te 3.50
Te 0.2623 0.2623 0.2623  3 Gd 3.13, 3 Tl 3.50
Te 0.7377 0.7377 0.7377  3 Gd 3.13, 3 Tl 3.50

Properties
- Energy: -6.76 eV/atom
- Space-group type: R-3m, No. 166

***

(3)
A plane-wave DFT calculation with GGA-PBE was carried out for an optimized crystal structure of Fe3SiN4.

a = 6.2283 Å, b = 4.7674 Å, c = 5.9747 Å
α = 90.00°, β = 90.00°, γ = 90.00°
Closest atoms and distances in Å follow each position.
Atoms (fractional coordinates):
Fe 0.0000 0.1809 0.0000  4 N 1.86-1.89
Fe 0.2402 0.6589 0.7866  4 N 1.82-1.94
Fe 0.2598 0.3411 0.2866  4 N 1.82-1.94
Fe 0.5000 0.8191 0.5000  4 N 1.86-1.89
Fe 0.7402 0.3411 0.2866  4 N 1.82-1.94
Fe 0.7598 0.6589 0.7866  4 N 1.82-1.94
Si 0.0000 0.8552 0.4839  4 N 1.72-1.77
Si 0.5000 0.1448 0.9839  4 N 1.72-1.77
N 0.0000 0.1473 0.3158  1 Si 1.72, 3 Fe 1.87-1.89
N 0.0000 0.9102 0.7767  1 Si 1.77, 3 Fe 1.86-1.92
N 0.2303 0.6500 0.4630  1 Si 1.74, 3 Fe 1.82-1.94
N 0.2697 0.3500 0.9630  1 Si 1.74, 3 Fe 1.82-1.94
N 0.5000 0.0898 0.2767  1 Si 1.77, 3 Fe 1.86-1.92
N 0.5000 0.8527 0.8158  1 Si 1.72, 3 Fe 1.87-1.89
N 0.7303 0.3500 0.9630  1 Si 1.74, 3 Fe 1.82-1.94
N 0.7697 0.6500 0.4630  1 Si 1.74, 3 Fe 1.82-1.94

Properties
- Total magnetic moment: 3.99 Bohr magnetons per cell
- Energy relative to the lowest polymorph listed for this composition: 1.00 eV/f.u.
- Energy: -8.09 eV/atom
- Space-group type: Pmn2_1, No. 31

***

(4)
A plane-wave DFT calculation with GGA-PBE was carried out for an optimized crystal structure of Sm2Cu2O5.

a = 8.7014 Å, b = 8.7014 Å, c = 8.7014 Å
α = 52.26°, β = 142.66°, γ = 144.80°
Closest atoms and distances in Å follow each position.
Atoms (fractional coordinates):
Sm 0.0171 0.1137 0.1308  5 O 2.24-2.50
Sm 0.0171 0.3863 0.4034  5 O 2.24-2.50
Sm 0.9829 0.6137 0.5966  5 O 2.24-2.50
Sm 0.9829 0.8863 0.8692  5 O 2.24-2.50
Cu 0.4889 0.7730 0.2159  3 O 1.93-2.15
Cu 0.4900 0.4900 0.0000  6 O 1.94-2.15
Cu 0.4900 0.9900 0.5000  6 O 1.94-2.15
Cu 0.5571 0.2730 0.7841  3 O 1.93-2.15
O 0.0146 0.6769 0.8377  2 Cu 2.15-2.17, 2 Sm 2.24
O 0.3851 0.0948 0.5598  2 Cu 1.93-2.15
O 0.3851 0.3254 0.7903  2 Cu 1.93-2.15
O 0.5026 0.2283 0.2381  2 Cu 1.94
O 0.5026 0.7645 0.7743  2 Cu 1.94
O 0.5350 0.5948 0.2097  2 Cu 1.93-2.15
O 0.5350 0.8254 0.4402  2 Cu 1.93-2.15
O 0.8391 0.1769 0.1623  2 Cu 2.15-2.17, 2 Sm 2.24
O 0.9902 0.2645 0.7619  2 Cu 1.94
O 0.9902 0.7283 0.2257  2 Cu 1.94

Properties
- Total magnetic moment: 0.06 Bohr magnetons per cell
- Energy relative to the lowest polymorph listed for this composition: 0.77 eV/f.u.
- Energy: -6.76 eV/atom
- Space-group type: Ima2, No. 46